1.
A plane-wave DFT calculation with PBE+U was carried out for a relaxed structure of NiP4O12.

```
data_NiP4O12
_chemical_formula_sum 'Ni2 P8 O24'
_space_group_name_H-M_alt 'P 1'
_space_group_IT_number 1
_cell_length_a 7.398
_cell_length_b 7.398
_cell_length_c 10.098
_cell_angle_alpha 68.14
_cell_angle_beta 68.14
_cell_angle_gamma 64.47
loop_
_space_group_symop_operation_xyz
'x,y,z'
loop_
_atom_site_label
_atom_site_type_symbol
_atom_site_fract_x
_atom_site_fract_y
_atom_site_fract_z
_atom_site_occupancy
O1 O 0.322 0.548 0.652 1
O2 O 0.548 0.322 0.152 1
O3 O 0.907 0.085 0.416 1
O4 O 0.452 0.678 0.848 1
O5 O 0.678 0.452 0.348 1
O6 O 0.085 0.907 0.916 1
O7 O 0.340 0.815 0.075 1
O8 O 0.330 0.207 0.844 1
O9 O 0.815 0.340 0.575 1
O10 O 0.660 0.185 0.925 1
O11 O 0.451 0.792 0.420 1
O12 O 0.310 0.157 0.144 1
O13 O 0.208 0.549 0.080 1
O14 O 0.792 0.451 0.920 1
O15 O 0.207 0.330 0.344 1
O16 O 0.915 0.093 0.084 1
O17 O 0.093 0.915 0.584 1
O18 O 0.793 0.670 0.656 1
O19 O 0.185 0.660 0.425 1
O20 O 0.670 0.793 0.156 1
O21 O 0.843 0.690 0.356 1
O22 O 0.157 0.310 0.644 1
O23 O 0.690 0.843 0.856 1
O24 O 0.549 0.208 0.580 1
Ni1 Ni 0.500 0.000 0.000 1
Ni2 Ni 0.000 0.500 0.500 1
P1 P 0.246 0.737 0.516 1
P2 P 0.263 0.754 0.984 1
P3 P 0.754 0.263 0.484 1
P4 P 0.688 0.669 0.813 1
P5 P 0.312 0.331 0.187 1
P6 P 0.737 0.246 0.016 1
P7 P 0.669 0.688 0.313 1
P8 P 0.331 0.312 0.687 1
```

Properties
- Calculated volume: 13.17 A^3/atom
- Energy relative to the elements: -37.154 eV/f.u.
- Space-group type: C2/c
- Total energy: -6.658 eV per atom

2.
A plane-wave DFT calculation with PBE+U was carried out for a relaxed structure of NiP2O7.

```
data_NiP2O7
_chemical_formula_sum 'Ni4 P8 O28'
_space_group_name_H-M_alt 'P 1'
_space_group_IT_number 1
_cell_length_a 8.402
_cell_length_b 7.334
_cell_length_c 9.287
_cell_angle_alpha 64.73
_cell_angle_beta 90.00
_cell_angle_gamma 90.00
loop_
_space_group_symop_operation_xyz
'x,y,z'
loop_
_atom_site_label
_atom_site_type_symbol
_atom_site_fract_x
_atom_site_fract_y
_atom_site_fract_z
_atom_site_occupancy
O1 O 0.769 0.608 0.537 1
O2 O 0.109 0.608 0.582 1
O3 O 0.610 0.532 0.335 1
O4 O 0.850 0.264 0.105 1
O5 O 0.891 0.392 0.418 1
O6 O 0.150 0.736 0.895 1
O7 O 0.620 0.106 0.312 1
O8 O 0.248 0.094 0.308 1
O9 O 0.414 0.981 0.123 1
O10 O 0.269 0.392 0.963 1
O11 O 0.890 0.532 0.835 1
O12 O 0.391 0.608 0.082 1
O13 O 0.110 0.468 0.165 1
O14 O 0.120 0.894 0.188 1
O15 O 0.586 0.019 0.877 1
O16 O 0.880 0.106 0.812 1
O17 O 0.609 0.392 0.918 1
O18 O 0.252 0.094 0.808 1
O19 O 0.231 0.392 0.463 1
O20 O 0.748 0.906 0.192 1
O21 O 0.390 0.468 0.665 1
O22 O 0.914 0.019 0.377 1
O23 O 0.380 0.894 0.688 1
O24 O 0.731 0.608 0.037 1
O25 O 0.752 0.906 0.692 1
O26 O 0.086 0.981 0.623 1
O27 O 0.650 0.264 0.605 1
O28 O 0.350 0.736 0.395 1
Ni1 Ni 0.417 0.230 0.891 1
Ni2 Ni 0.917 0.770 0.609 1
Ni3 Ni 0.083 0.230 0.391 1
Ni4 Ni 0.583 0.770 0.109 1
P1 P 0.764 0.458 0.967 1
P2 P 0.282 0.933 0.249 1
P3 P 0.264 0.542 0.533 1
P4 P 0.218 0.933 0.749 1
P5 P 0.736 0.458 0.467 1
P6 P 0.782 0.067 0.251 1
P7 P 0.718 0.067 0.751 1
P8 P 0.236 0.542 0.033 1
```

Properties
- Calculated volume: 12.94 A^3/atom
- Energy relative to the elements: -19.754 eV/f.u.
- Space-group type: P2_1/c
- Total energy: -6.365 eV per atom

3.
A plane-wave DFT calculation with PBE+U was carried out for a relaxed structure of Ni2P3O11.

```
data_Ni2P3O11
_chemical_formula_sum 'Ni4 P6 O22'
_space_group_name_H-M_alt 'P 1'
_space_group_IT_number 1
_cell_length_a 7.077
_cell_length_b 7.077
_cell_length_c 8.646
_cell_angle_alpha 70.52
_cell_angle_beta 70.52
_cell_angle_gamma 70.88
loop_
_space_group_symop_operation_xyz
'x,y,z'
loop_
_atom_site_label
_atom_site_type_symbol
_atom_site_fract_x
_atom_site_fract_y
_atom_site_fract_z
_atom_site_occupancy
O1 O 0.045 0.746 0.227 1
O2 O 0.873 0.967 0.415 1
O3 O 0.127 0.033 0.585 1
O4 O 0.254 0.955 0.273 1
O5 O 0.516 0.484 0.750 1
O6 O 0.955 0.254 0.773 1
O7 O 0.967 0.873 0.915 1
O8 O 0.755 0.620 0.824 1
O9 O 0.636 0.275 0.055 1
O10 O 0.380 0.245 0.676 1
O11 O 0.854 0.528 0.128 1
O12 O 0.746 0.045 0.727 1
O13 O 0.245 0.380 0.176 1
O14 O 0.146 0.472 0.872 1
O15 O 0.472 0.146 0.372 1
O16 O 0.033 0.127 0.085 1
O17 O 0.364 0.725 0.945 1
O18 O 0.528 0.854 0.628 1
O19 O 0.725 0.364 0.445 1
O20 O 0.620 0.755 0.324 1
O21 O 0.484 0.516 0.250 1
O22 O 0.275 0.636 0.555 1
Ni1 Ni 0.367 0.884 0.461 1
Ni2 Ni 0.633 0.116 0.539 1
Ni3 Ni 0.116 0.633 0.039 1
Ni4 Ni 0.884 0.367 0.961 1
P1 P 0.044 0.956 0.250 1
P2 P 0.956 0.044 0.750 1
P3 P 0.676 0.542 0.292 1
P4 P 0.542 0.676 0.792 1
P5 P 0.458 0.324 0.208 1
P6 P 0.324 0.458 0.708 1
```

Properties
- Calculated volume: 11.67 A^3/atom
- Energy relative to the elements: -30.573 eV/f.u.
- Space-group type: C2/c
- Total energy: -6.260 eV per atom

4.
A plane-wave DFT calculation with PBE+U was carried out for a relaxed structure of Ni7P6O24.

```
data_Ni7P6O24
_chemical_formula_sum 'Ni7 P6 O24'
_space_group_name_H-M_alt 'P 1'
_space_group_IT_number 1
_cell_length_a 6.366
_cell_length_b 7.948
_cell_length_c 9.374
_cell_angle_alpha 104.91
_cell_angle_beta 108.11
_cell_angle_gamma 101.16
loop_
_space_group_symop_operation_xyz
'x,y,z'
loop_
_atom_site_label
_atom_site_type_symbol
_atom_site_fract_x
_atom_site_fract_y
_atom_site_fract_z
_atom_site_occupancy
Ni1 Ni 0.615 0.543 0.890 1
Ni2 Ni 0.000 0.000 0.000 1
Ni3 Ni 0.270 0.799 0.282 1
Ni4 Ni 0.955 0.286 0.481 1
Ni5 Ni 0.045 0.714 0.519 1
Ni6 Ni 0.730 0.201 0.718 1
Ni7 Ni 0.385 0.457 0.110 1
O1 O 0.310 0.542 0.918 1
O2 O 0.930 0.446 0.343 1
O3 O 0.017 0.187 0.666 1
O4 O 0.544 0.743 0.229 1
O5 O 0.070 0.554 0.657 1
O6 O 0.276 0.039 0.243 1
O7 O 0.209 0.941 0.707 1
O8 O 0.456 0.257 0.771 1
O9 O 0.632 0.233 0.499 1
O10 O 0.458 0.367 0.292 1
O11 O 0.877 0.468 0.837 1
O12 O 0.260 0.285 0.473 1
O13 O 0.983 0.813 0.334 1
O14 O 0.225 0.187 0.942 1
O15 O 0.368 0.767 0.501 1
O16 O 0.690 0.458 0.082 1
O17 O 0.123 0.532 0.163 1
O18 O 0.115 0.792 0.920 1
O19 O 0.885 0.208 0.080 1
O20 O 0.542 0.633 0.708 1
O21 O 0.775 0.813 0.058 1
O22 O 0.740 0.715 0.527 1
O23 O 0.791 0.059 0.293 1
O24 O 0.724 0.961 0.757 1
P1 P 0.597 0.767 0.626 1
P2 P 0.772 0.858 0.229 1
P3 P 0.403 0.233 0.374 1
P4 P 0.906 0.404 0.166 1
P5 P 0.094 0.596 0.834 1
P6 P 0.228 0.142 0.771 1
```

Properties
- Calculated volume: 11.24 A^3/atom
- Energy relative to the elements: -74.367 eV/f.u.
- Space-group type: P-1
- Total energy: -6.264 eV per atom

5.
A plane-wave DFT calculation with PBE+U was carried out for a relaxed structure of NiP2O6.

```
data_NiP2O6
_chemical_formula_sum 'Ni4 P8 O24'
_space_group_name_H-M_alt 'P 1'
_space_group_IT_number 1
_cell_length_a 7.220
_cell_length_b 7.220
_cell_length_c 9.989
_cell_angle_alpha 67.08
_cell_angle_beta 67.08
_cell_angle_gamma 70.44
loop_
_space_group_symop_operation_xyz
'x,y,z'
loop_
_atom_site_label
_atom_site_type_symbol
_atom_site_fract_x
_atom_site_fract_y
_atom_site_fract_z
_atom_site_occupancy
P1 P 0.230 0.752 0.976 1
P2 P 0.812 0.795 0.196 1
P3 P 0.795 0.812 0.696 1
P4 P 0.248 0.770 0.524 1
P5 P 0.752 0.230 0.476 1
P6 P 0.188 0.205 0.804 1
P7 P 0.205 0.188 0.304 1
P8 P 0.770 0.248 0.024 1
Ni1 Ni 0.500 0.000 0.000 1
Ni2 Ni 0.554 0.446 0.750 1
Ni3 Ni 0.000 0.500 0.500 1
Ni4 Ni 0.446 0.554 0.250 1
O1 O 0.415 0.652 0.595 1
O2 O 0.790 0.309 0.583 1
O3 O 0.287 0.999 0.435 1
O4 O 0.001 0.713 0.065 1
O5 O 0.585 0.348 0.405 1
O6 O 0.310 0.156 0.152 1
O7 O 0.188 0.966 0.846 1
O8 O 0.218 0.380 0.325 1
O9 O 0.812 0.034 0.154 1
O10 O 0.690 0.844 0.848 1
O11 O 0.034 0.812 0.654 1
O12 O 0.966 0.188 0.346 1
O13 O 0.691 0.210 0.917 1
O14 O 0.348 0.585 0.905 1
O15 O 0.620 0.782 0.175 1
O16 O 0.380 0.218 0.825 1
O17 O 0.652 0.415 0.095 1
O18 O 0.210 0.691 0.417 1
O19 O 0.309 0.790 0.083 1
O20 O 0.782 0.620 0.675 1
O21 O 0.713 0.001 0.565 1
O22 O 0.999 0.287 0.935 1
O23 O 0.844 0.690 0.348 1
O24 O 0.156 0.310 0.652 1
```

Properties
- Calculated volume: 11.98 A^3/atom
- Energy relative to the elements: -21.428 eV/f.u.
- Space-group type: C2/c
- Total energy: -6.784 eV per atom

6.
A plane-wave DFT calculation with PBE+U was carried out for a relaxed structure of Ni2P5O16.

```
data_Ni2P5O16
_chemical_formula_sum 'Ni4 P10 O32'
_space_group_name_H-M_alt 'P 1'
_space_group_IT_number 1
_cell_length_a 6.758
_cell_length_b 5.025
_cell_length_c 18.852
_cell_angle_alpha 89.38
_cell_angle_beta 90.00
_cell_angle_gamma 90.00
loop_
_space_group_symop_operation_xyz
'x,y,z'
loop_
_atom_site_label
_atom_site_type_symbol
_atom_site_fract_x
_atom_site_fract_y
_atom_site_fract_z
_atom_site_occupancy
Ni1 Ni 0.820 0.243 0.093 1
Ni2 Ni 0.180 0.243 0.593 1
Ni3 Ni 0.820 0.757 0.407 1
Ni4 Ni 0.180 0.757 0.907 1
O1 O 0.687 0.219 0.867 1
O2 O 0.778 0.657 0.507 1
O3 O 0.015 0.569 0.610 1
O4 O 0.351 0.074 0.919 1
O5 O 0.406 0.201 0.788 1
O6 O 0.059 0.047 0.070 1
O7 O 0.580 0.441 0.120 1
O8 O 0.313 0.219 0.367 1
O9 O 0.420 0.559 0.880 1
O10 O 0.778 0.343 0.993 1
O11 O 0.687 0.781 0.633 1
O12 O 0.864 0.848 0.305 1
O13 O 0.941 0.047 0.570 1
O14 O 0.649 0.926 0.081 1
O15 O 0.580 0.559 0.380 1
O16 O 0.222 0.343 0.493 1
O17 O 0.649 0.074 0.419 1
O18 O 0.420 0.441 0.620 1
O19 O 0.985 0.569 0.110 1
O20 O 0.985 0.431 0.390 1
O21 O 0.594 0.799 0.212 1
O22 O 0.594 0.201 0.288 1
O23 O 0.941 0.953 0.930 1
O24 O 0.136 0.152 0.695 1
O25 O 0.015 0.431 0.890 1
O26 O 0.313 0.781 0.133 1
O27 O 0.059 0.953 0.430 1
O28 O 0.222 0.657 0.007 1
O29 O 0.406 0.799 0.712 1
O30 O 0.351 0.926 0.581 1
O31 O 0.136 0.848 0.805 1
O32 O 0.864 0.152 0.195 1
P1 P 0.866 0.759 0.576 1
P2 P 0.254 0.000 0.750 1
P3 P 0.134 0.241 0.424 1
P4 P 0.134 0.759 0.076 1
P5 P 0.746 0.000 0.250 1
P6 P 0.454 0.265 0.869 1
P7 P 0.454 0.735 0.631 1
P8 P 0.866 0.241 0.924 1
P9 P 0.546 0.265 0.369 1
P10 P 0.546 0.735 0.131 1
```

Properties
- Calculated volume: 13.92 A^3/atom
- Energy relative to the elements: -49.585 eV/f.u.
- Space-group type: P2/c
- Total energy: -6.579 eV per atom

> What is the energy relative to the elements in the first record?

-37.154 eV/f.u.